Entry 1:
Density functional theory data (PBE-GGA) for Y2Mg after structural relaxation.

Structure (CIF):
```
data_Y2Mg
_chemical_formula_sum 'Y4 Mg2'
_symmetry_space_group_name_H-M 'P 1'
_symmetry_Int_Tables_number 1
_cell_length_a 6.687
_cell_length_b 6.687
_cell_length_c 8.090
_cell_angle_alpha 104.08
_cell_angle_beta 104.08
_cell_angle_gamma 30.88
loop_
_symmetry_equiv_pos_as_xyz
'x,y,z'
loop_
_atom_site_label
_atom_site_type_symbol
_atom_site_fract_x
_atom_site_fract_y
_atom_site_fract_z
Y1 Y 0.024 0.024 0.294
Y2 Y 0.303 0.303 0.357
Y3 Y 0.697 0.697 0.643
Y4 Y 0.976 0.976 0.706
Mg1 Mg 0.359 0.359 0.975
Mg2 Mg 0.641 0.641 0.025
```

Summary:
The value obtained for the calculated total energy is -29.2 eV per cell. The value obtained for the formation energy is -0.020 eV per atom.

Entry 2:
Density functional theory data (PBE-GGA) for Y2Mg after structural relaxation.

Structure (CIF):
```
data_Y2Mg
_chemical_formula_sum 'Y4 Mg2'
_symmetry_space_group_name_H-M 'P 1'
_symmetry_Int_Tables_number 1
_cell_length_a 6.663
_cell_length_b 6.663
_cell_length_c 6.663
_cell_angle_alpha 53.54
_cell_angle_beta 53.54
_cell_angle_gamma 53.54
loop_
_symmetry_equiv_pos_as_xyz
'x,y,z'
loop_
_atom_site_label
_atom_site_type_symbol
_atom_site_fract_x
_atom_site_fract_y
_atom_site_fract_z
Y1 Y 0.000 0.000 0.000
Y2 Y 0.173 0.827 0.500
Y3 Y 0.500 0.173 0.827
Y4 Y 0.827 0.500 0.173
Mg1 Mg 0.333 0.333 0.333
Mg2 Mg 0.667 0.667 0.667
```

Summary:
The value obtained for the calculated total energy is -28.8 eV per cell. The value obtained for the formation energy is 0.039 eV per atom.